ZrSe4Cl6: optimized geometry, r2SCAN.

The space group is Pccn (No. 56) and the conventional cell measures 10.961, 11.035 and 10.682 Å, with angles of 90.00, 90.00 and 90.00 degrees. The asymmetric unit holds Zr at (0.000, 0.000, 0.000), Se at (0.085, 0.095, 0.420), Se at (0.109, 0.600, 0.995), Cl at (0.073, 0.669, 0.637), Cl at (0.131, 0.140, 0.114) and Cl at (0.168, 0.541, 0.348).

The formation energy is -1.02 eV/atom. Its magnetization is 0.0 μB/cell.

ZrSe4Cl6: optimized geometry, r2SCAN.

The space group is P4_2/ncm (No. 138, origin choice 2) and the conventional cell measures 11.008, 11.008 and 10.700 Å, with angles of 90.00, 90.00 and 90.00 degrees. The asymmetric unit holds Zr at (0.000, 0.000, 0.000), Se at (0.090, 0.090, 0.419), Se at (0.104, 0.604, 0.000), Cl at (0.057, 0.669, 0.645) and Cl at (0.136, 0.136, 0.114).

The formation energy is -1.02 eV/atom. Its magnetization is 0.0 μB/cell.

SmCl2: optimized geometry, r2SCAN.

The space group is P4_2/mnm (No. 136) and the conventional cell measures 7.036, 7.036 and 3.502 Å, with angles of 90.00, 90.00 and 90.00 degrees. The asymmetric unit holds Sm at (0.000, 0.000, 0.000) and Cl at (0.221, 0.221, 0.500).

The formation energy is -2.17 eV/atom. Its magnetization is 0.0 μB/cell.

Sn2W3Cl14: optimized geometry, r2SCAN.

The space group is P6_3 (No. 173) and the conventional cell measures 9.6360, 9.6360 and 12.3745 Å, with angles of 90.00, 90.00 and 120.00 degrees. The asymmetric unit holds Sn at (0.0000, 0.0000, 0.0000), Sn at (0.3333, 0.6667, 0.0415), W at (0.1476, 0.5936, 0.5754), Cl at (0.0000, 0.0000, 0.3069), Cl at (0.0180, 0.6463, 0.9761), Cl at (0.0276, 0.7086, 0.4640), Cl at (0.1007, 0.4960, 0.1858), Cl at (0.1966, 0.4419, 0.7089) and Cl at (0.3333, 0.6667, 0.4276).

The formation energy is -0.97 eV/atom. Its magnetization is 0.0 μB/cell.

SrCl2: optimized geometry, r2SCAN.

The space group is Fm-3m (No. 225) and the conventional cell measures 6.999, 6.999 and 6.999 Å, with angles of 90.00, 90.00 and 90.00 degrees. The asymmetric unit holds Sr at (0.000, 0.000, 0.000) and Cl at (0.250, 0.250, 0.250).

The formation energy is -2.75 eV/atom. Its magnetization is 0.0 μB/cell.

Sr2TlCl5: optimized geometry, r2SCAN.

The space group is P2_1/c (No. 14) and the conventional cell measures 8.991, 7.885 and 12.727 Å, with angles of 90.00, 90.04 and 90.00 degrees. The asymmetric unit holds Sr at (0.001, 0.024, 0.178), Sr at (0.249, 0.068, 0.494), Tl at (0.489, 0.537, 0.334), Cl at (0.039, 0.661, 0.100), Cl at (0.213, 0.669, 0.817), Cl at (0.215, 0.048, 0.997), Cl at (0.226, 0.192, 0.717) and Cl at (0.466, 0.664, 0.092).

The formation energy is -2.35 eV/atom. Its magnetization is 0.0 μB/cell.

SrZnCl4: optimized geometry, r2SCAN.

The space group is I4_1/a (No. 88, origin choice 2) and the conventional cell measures 6.504, 6.504 and 14.424 Å, with angles of 90.00, 90.00 and 90.00 degrees. The asymmetric unit holds Sr at (0.000, 0.250, 0.125), Zn at (0.000, 0.250, 0.625) and Cl at (0.155, 0.492, 0.294).

The formation energy is -2.03 eV/atom. Its magnetization is 0.0 μB/cell.

TaCl4: optimized geometry, r2SCAN.

The space group is C2/m (No. 12) and the conventional cell measures 12.235, 6.788 and 8.302 Å, with angles of 90.00, 130.77 and 90.00 degrees. The asymmetric unit holds Ta at (0.000, 0.218, 0.000), Cl at (0.022, 0.244, 0.297), Cl at (0.179, 0.500, 0.154) and Cl at (0.206, 0.000, 0.178).

The formation energy is -1.46 eV/atom. Its magnetization is 0.0 μB/cell.

TaTlCl6: optimized geometry, r2SCAN.

The space group is C2/c (No. 15) and the conventional cell measures 11.890, 6.263 and 11.998 Å, with angles of 90.00, 101.60 and 90.00 degrees. The asymmetric unit holds Ta at (0.250, 0.250, 0.000), Tl at (0.000, 0.081, 0.250), Cl at (0.079, 0.396, 0.894), Cl at (0.148, 0.059, 0.532) and Cl at (0.212, 0.406, 0.168).

The formation energy is -1.44 eV/atom. Its magnetization is 0.0 μB/cell.

Ta3Tl2Cl9: optimized geometry, r2SCAN.

The space group is C2/m (No. 12) and the conventional cell measures 10.335, 16.634 and 9.561 Å, with angles of 90.00, 115.78 and 90.00 degrees. The asymmetric unit holds Ta at (0.113, 0.000, 0.369), Ta at (0.133, 0.086, 0.640), Tl at (0.110, 0.340, 0.827), Cl at (0.000, 0.208, 0.500), Cl at (0.024, 0.104, 0.822), Cl at (0.180, 0.500, 0.166), Cl at (0.195, 0.303, 0.178), Cl at (0.207, 0.396, 0.489) and Cl at (0.244, 0.500, 0.794).

The formation energy is -1.36 eV/atom. Its magnetization is 0.0 μB/cell.

TcCl4: optimized geometry, r2SCAN.

The space group is Pbca (No. 61) and the conventional cell measures 6.076, 11.966 and 14.391 Å, with angles of 90.00, 90.00 and 90.00 degrees. The asymmetric unit holds Tc at (0.102, 0.128, 0.180), Cl at (0.044, 0.745, 0.426), Cl at (0.073, 0.740, 0.193), Cl at (0.222, 0.517, 0.307) and Cl at (0.248, 0.012, 0.074).

The formation energy is -0.89 eV/atom. Its magnetization is 24.0 μB/cell.

TcCl3: optimized geometry, r2SCAN.

The space group is R-3m (No. 166, hexagonal axes) and the conventional cell measures 10.2037, 10.2037 and 21.5773 Å, with angles of 90.00, 90.00 and 120.00 degrees. The asymmetric unit holds Tc at (0.0781, 0.1562, 0.2771), Cl at (0.0209, 0.5105, 0.3879), Cl at (0.1042, 0.2085, 0.1757) and Cl at (0.1055, 0.2111, 0.3848).

The formation energy is -0.85 eV/atom. Its magnetization is 0.0 μB/cell.

What did the eleventh record say?
TcCl4: optimized geometry, r2SCAN.

The space group is Pbca (No. 61) and the conventional cell measures 6.076, 11.966 and 14.391 Å, with angles of 90.00, 90.00 and 90.00 degrees. The asymmetric unit holds Tc at (0.102, 0.128, 0.180), Cl at (0.044, 0.745, 0.426), Cl at (0.073, 0.740, 0.193), Cl at (0.222, 0.517, 0.307) and Cl at (0.248, 0.012, 0.074).

The formation energy is -0.89 eV/atom. Its magnetization is 24.0 μB/cell.

Question: Number 6 is which compound?
Answer: Sr2TlCl5